Entry from the Materials Project: a relaxed structure of Na4Ca3HfSiS5O24 (GGA-PBE).

Values from the calculation:
ΔH_f (0 K): -2577.0 meV per atom
Energy with MP2020 corrections: -792.1 eV/cell

Cell: 9.2066 9.2243 23.7910 Å, 89.89 89.82 60.16°
With the nearest neighbours (Å) after each atom.
Element x y z (fractional)
1 Na 0.0000 0.0000 0.0000  4 O 2.42-2.67
2 Na 0.0032 0.6596 0.2493  4 O 2.44-2.48
3 Na 0.0191 0.0440 0.4983  3 O 2.38-2.66
4 Na 0.0294 0.6709 0.5882  2 O 2.37-2.40
5 Na 0.2999 0.3387 0.6630  2 O 2.38-2.56
6 Na 0.3332 0.9938 0.9098  2 O 2.28-2.54
7 Na 0.3551 0.3384 0.1661  6 O 2.61-2.90
8 Na 0.6461 0.6932 0.3287  5 O 2.53-2.75
9 Na 0.6605 0.6983 0.8241  3 O 2.45-2.58
10 Na 0.6741 0.3261 0.5796  3 O 2.33-2.44
11 Na 0.6838 0.3344 0.9195  4 O 2.48-2.64
12 Na 0.9920 0.7320 0.9191  4 O 2.35-2.64
13 Ca 0.0010 0.0287 0.3497  6 O 2.27-2.38
14 Ca 0.0027 0.0271 0.1450  6 O 2.30-2.49
15 Ca 0.0037 0.0174 0.8445  6 O 2.24-2.41
16 Ca 0.0141 0.0324 0.6491  4 O 2.23-2.47
17 Ca 0.3286 0.3477 0.5120  6 O 2.18-2.40
18 Ca 0.3384 0.3601 0.0178  6 O 2.17-2.36
19 Ca 0.3454 0.3426 0.3201  6 O 2.32-2.45
20 Ca 0.6588 0.6894 0.1834  6 O 2.23-2.34
21 Ca 0.6726 0.6859 0.6849  5 O 2.12-2.35
22 Hf 0.3507 0.3516 0.8198  3 O 1.96-2.09
23 Hf 0.6618 0.6941 0.9801  5 O 2.02-2.13
24 Hf 0.6769 0.6810 0.4821  5 O 1.91-2.13
25 Si 0.3387 0.6508 0.9171  4 O 1.59-1.70
26 Si 0.6324 0.0543 0.9172  4 O 1.59-1.70
27 Si 0.9663 0.3908 0.5822  4 O 1.61-1.72
28 S 0.0049 0.3274 0.2488  4 O 1.47-1.51
29 S 0.0159 0.6999 0.7518  4 O 1.47-1.52
30 S 0.0211 0.6626 0.4175  4 O 1.47-1.53
31 S 0.0391 0.3634 0.9159  4 O 1.44-1.52
32 S 0.2965 0.7194 0.2498  4 O 1.47-1.51
33 S 0.3114 0.0335 0.7541  4 O 1.47-1.51
34 S 0.3466 0.0343 0.4176  4 O 1.47-1.52
35 S 0.3729 0.9785 0.0789  4 O 1.46-1.55
36 S 0.3790 0.6857 0.5789  4 O 1.46-1.51
37 S 0.6410 0.3628 0.4205  4 O 1.47-1.53
38 S 0.6731 0.9777 0.5800  4 O 1.46-1.51
39 S 0.6765 0.3922 0.0791  4 O 1.46-1.53
40 S 0.6873 0.3261 0.7515  4 O 1.47-1.52
41 S 0.7066 0.0178 0.2486  4 O 1.48-1.51
42 S 0.9577 0.6889 0.0808  4 O 1.47-1.54
43 O 0.0040 0.2257 0.9053  1 S 1.48
44 O 0.0038 0.8005 0.8015  1 S 1.47
45 O 0.0169 0.2324 0.1977  1 S 1.47
46 O 0.0361 0.7752 0.6992  1 S 1.49
47 O 0.0930 0.5614 0.3660  1 S 1.48
48 O 0.1220 0.5358 0.0785  1 S 1.47
49 O 0.1227 0.3922 0.8658  1 S 1.51
50 O 0.1228 0.5788 0.4675  1 S 1.47
51 O 0.1399 0.3258 0.9657  1 S 1.44
52 O 0.1493 0.3780 0.5777  1 Si 1.63
53 O 0.1561 0.3501 0.2511  1 S 1.51
54 O 0.1696 0.5282 0.7577  1 S 1.52
55 O 0.1980 0.8036 0.1988  1 S 1.48
56 O 0.1982 0.8438 0.9054  1 Si 1.62
57 O 0.1997 0.0103 0.4141  1 S 1.48
58 O 0.2052 0.8289 0.5790  1 S 1.48
59 O 0.2098 0.0502 0.7040  1 S 1.48
60 O 0.2111 0.9832 0.0763  1 S 1.47
61 O 0.2141 0.8168 0.3006  1 S 1.47
62 O 0.2332 0.0178 0.8062  1 S 1.47
63 O 0.2740 0.5854 0.9681  1 Si 1.59
64 O 0.3041 0.5524 0.2526  1 S 1.51
65 O 0.3217 0.1918 0.7568  1 S 1.51
66 O 0.3276 0.1355 0.4675  1 S 1.47
67 O 0.3539 0.1459 0.0765  1 S 1.47
68 O 0.3732 0.1078 0.3662  1 S 1.47
69 O 0.3752 0.5267 0.5733  1 S 1.49
70 O 0.3776 0.5183 0.8624  1 Si 1.70
71 O 0.4682 0.7058 0.5287  1 S 1.51
72 O 0.4691 0.6941 0.2475  1 S 1.49
73 O 0.4687 0.8932 0.1293  1 S 1.46
74 O 0.4699 0.6747 0.6305  1 S 1.46
75 O 0.4714 0.8759 0.0266  1 S 1.55
76 O 0.4819 0.8869 0.7502  1 S 1.48
77 O 0.5015 0.8637 0.4237  1 S 1.52
78 O 0.5025 0.1457 0.8617  1 Si 1.70
79 O 0.5184 0.3343 0.7571  1 S 1.52
80 O 0.5245 0.6433 0.9262  1 Si 1.69
81 O 0.5248 0.3762 0.0794  1 S 1.48
82 O 0.5346 0.1644 0.2516  1 S 1.49
83 O 0.5369 0.3847 0.3708  1 S 1.47
84 O 0.5418 0.1544 0.5730  1 S 1.48
85 O 0.5503 0.1729 0.9699  1 Si 1.59
86 O 0.5638 0.3445 0.4724  1 S 1.47
87 O 0.6426 0.9107 0.6315  1 S 1.46
88 O 0.6463 0.8654 0.9239  1 Si 1.69
89 O 0.6519 0.5227 0.4242  1 S 1.53
90 O 0.6579 0.4985 0.7488  1 S 1.48
91 O 0.6728 0.4852 0.1294  1 S 1.46
92 O 0.6756 0.8759 0.5297  1 S 1.51
93 O 0.6773 0.4893 0.0267  1 S 1.53
94 O 0.6990 0.8582 0.2470  1 S 1.51
95 O 0.7648 0.2293 0.6997  1 S 1.48
96 O 0.7878 0.2443 0.8017  1 S 1.47
97 O 0.7891 0.0320 0.1972  1 S 1.48
98 O 0.8062 0.0033 0.2991  1 S 1.48
99 O 0.8119 0.2196 0.4155  1 S 1.47
100 O 0.8213 0.0232 0.9086  1 Si 1.63
101 O 0.8316 0.2283 0.0754  1 S 1.48
102 O 0.8412 0.9663 0.5810  1 S 1.50
103 O 0.8437 0.5047 0.5266  1 Si 1.72, 1 Hf 1.91
104 O 0.8476 0.6800 0.4244  1 S 1.53
105 O 0.8524 0.6921 0.0300  1 S 1.54
106 O 0.8550 0.5011 0.2471  1 S 1.51
107 O 0.8653 0.6810 0.7508  1 S 1.48
108 O 0.8728 0.5247 0.9217  1 S 1.52
109 O 0.8735 0.6861 0.1331  1 S 1.47
110 O 0.8753 0.5037 0.6365  1 Si 1.61
111 O 0.9641 0.2139 0.5798  1 Si 1.64
112 O 0.9692 0.8425 0.0763  1 S 1.48
113 O 0.9917 0.2453 0.2999  1 S 1.47
114 O 0.9967 0.8320 0.4135  1 S 1.47

Entry from the Materials Project: a relaxed structure of Na14Ca5Hf3Si6S6O48 (GGA-PBE).

Values from the calculation:
ΔH_f (0 K): -2705.9 meV per atom
Energy with MP2020 corrections: -1725.5 eV/cell

Cell: 9.3955 16.2967 22.9748 Å, 90.04 90.03 90.05°
With the nearest neighbours (Å) after each atom.
Element x y z (fractional)
1 Na 0.0000 0.0000 0.0000  3 O 2.44-2.59
2 Na 0.0014 0.3262 0.3416  6 O 2.58-2.86
3 Na 0.0482 0.6689 0.6595  3 O 2.39-2.50
4 Na 0.1480 0.1689 0.4132  5 O 2.46-2.69
5 Na 0.1486 0.8209 0.0732  3 O 2.39-2.50
6 Na 0.1507 0.5297 0.2442  2 O 2.34-2.51
7 Na 0.1658 0.5137 0.7481  4 O 2.48-2.76
8 Na 0.1709 0.1960 0.9110  3 O 2.38-2.66
9 Na 0.1775 0.8288 0.5705  3 O 2.31-2.43
10 Na 0.2639 0.6724 0.1599  5 O 2.40-2.68
11 Na 0.3157 0.6985 0.4913  3 O 2.30-2.56
12 Na 0.3393 0.3227 0.4943  2 O 2.30-2.55
13 Na 0.3398 0.6528 0.8177  3 O 2.40-2.64
14 Na 0.3426 0.0253 0.8267  1 O 2.25
15 Na 0.3481 0.9985 0.1675  4 O 2.40-2.65
16 Na 0.3502 0.3538 0.1483  2 O 2.23-2.43
17 Na 0.4672 0.5041 0.6707  3 O 2.39-2.60
18 Na 0.4675 0.8501 0.6487  2 O 2.25-2.43
19 Na 0.4720 0.5253 0.3287  2 O 2.24-2.50
20 Na 0.4910 0.1607 0.3216  5 O 2.53-2.76
21 Na 0.4964 0.2022 0.9911  3 O 2.34-2.49
22 Na 0.5101 0.4987 0.9859  4 O 2.48-2.55
23 Na 0.5204 0.8259 0.3390  1 O 2.34
24 Na 0.5423 0.1701 0.6510  4 O 2.31-2.54
25 Na 0.6503 0.3267 0.0697  3 O 2.38-2.50
26 Na 0.6535 0.6680 0.9076  6 O 2.47-2.74
27 Na 0.6580 0.6821 0.4070  3 O 2.37-2.60
28 Na 0.6615 0.0214 0.7430  2 O 2.37-2.46
29 Na 0.6634 0.0142 0.2494  5 O 2.55-2.78
30 Na 0.6950 0.3360 0.5744  1 O 2.28
31 Na 0.7631 0.1698 0.1597  4 O 2.40-2.68
32 Na 0.8118 0.8220 0.8402  3 O 2.44-2.66
33 Na 0.8131 0.1962 0.4914  2 O 2.33-2.58
34 Na 0.8221 0.5294 0.8356  3 O 2.35-2.60
35 Na 0.8314 0.1647 0.8226  4 O 2.48-2.63
36 Na 0.8448 0.5041 0.1639  2 O 2.40-2.60
37 Na 0.8454 0.8204 0.4803  2 O 2.33-2.34
38 Na 0.8500 0.8530 0.1617  4 O 2.43-2.68
39 Na 0.9630 0.0159 0.3260  4 O 2.46-2.71
40 Na 0.9638 0.0024 0.6635  4 O 2.45-2.69
41 Na 0.9765 0.6790 0.3227  5 O 2.56-2.85
42 Na 0.9946 0.6973 0.9903  5 O 2.51-2.76
43 Ca 0.1418 0.8292 0.2344  3 O 2.22-2.32
44 Ca 0.1477 0.5067 0.5961  5 O 2.10-2.35
45 Ca 0.1571 0.1731 0.2621  6 O 2.15-2.39
46 Ca 0.1577 0.1786 0.7628  5 O 2.17-2.30
47 Ca 0.1590 0.5082 0.0910  4 O 2.13-2.28
48 Ca 0.1599 0.8338 0.9299  6 O 2.15-2.40
49 Ca 0.1602 0.8361 0.4281  6 O 2.19-2.45
50 Ca 0.1615 0.8261 0.7304  3 O 2.18-2.38
51 Ca 0.6490 0.0100 0.5911  5 O 2.15-2.40
52 Ca 0.6513 0.3372 0.9289  6 O 2.19-2.44
53 Ca 0.6535 0.3281 0.2299  4 O 2.19-2.43
54 Ca 0.6536 0.6708 0.7626  5 O 2.15-2.32
55 Ca 0.6577 0.0081 0.0932  5 O 2.14-2.39
56 Ca 0.6602 0.6766 0.2631  6 O 2.16-2.41
57 Ca 0.6651 0.3374 0.4308  6 O 2.16-2.39
58 Hf 0.1400 0.5119 0.4032  3 O 1.92-2.05
59 Hf 0.1474 0.1791 0.5586  4 O 1.98-2.20
60 Hf 0.1604 0.1827 0.0573  4 O 1.97-2.11
61 Hf 0.1827 0.5068 0.8965  4 O 1.97-2.06
62 Hf 0.6467 0.0067 0.4005  6 O 2.03-2.24
63 Hf 0.6503 0.6764 0.5572  4 O 1.99-2.19
64 Hf 0.6531 0.3314 0.7328  4 O 1.97-2.12
65 Hf 0.6627 0.6815 0.0559  5 O 1.98-2.21
66 Hf 0.6673 0.0115 0.9015  3 O 1.93-2.13
67 Si 0.0000 0.6583 0.5026  4 O 1.60-1.71
68 Si 0.0055 0.6817 0.8320  4 O 1.62-1.69
69 Si 0.0096 0.3563 0.4967  4 O 1.58-1.73
70 Si 0.3044 0.3577 0.0007  4 O 1.60-1.70
71 Si 0.3071 0.6794 0.3316  4 O 1.61-1.72
72 Si 0.3162 0.6561 0.9997  4 O 1.60-1.71
73 Si 0.3575 0.6732 0.6624  4 O 1.61-1.70
74 Si 0.4523 0.1719 0.1635  4 O 1.62-1.71
75 Si 0.4963 0.1578 0.4988  4 O 1.61-1.68
76 Si 0.5059 0.8564 0.5018  4 O 1.60-1.73
77 Si 0.5072 0.1833 0.8340  4 O 1.58-1.72
78 Si 0.5077 0.4865 0.8300  4 O 1.60-1.71
79 Si 0.8064 0.8580 0.9983  4 O 1.60-1.70
80 Si 0.8109 0.1826 0.3314  4 O 1.62-1.68
81 Si 0.8165 0.1583 0.0010  4 O 1.60-1.73
82 Si 0.8448 0.8466 0.3319  4 O 1.61-1.69
83 Si 0.8571 0.1745 0.6667  4 O 1.61-1.70
84 Si 0.9537 0.6709 0.1623  4 O 1.62-1.70
85 S 0.0002 0.9903 0.8309  4 O 1.47-1.53
86 S 0.0081 0.3205 0.1622  4 O 1.47-1.52
87 S 0.0142 0.0255 0.1606  4 O 1.48-1.50
88 S 0.2978 0.0270 0.6632  4 O 1.48-1.50
89 S 0.3124 0.9908 0.3297  4 O 1.45-1.52
90 S 0.3146 0.3197 0.6614  4 O 1.46-1.53
91 S 0.3493 0.3460 0.3313  4 O 1.47-1.50
92 S 0.3585 0.0118 0.9960  4 O 1.46-1.53
93 S 0.4503 0.5102 0.4969  4 O 1.46-1.52
94 S 0.4638 0.8490 0.8296  4 O 1.46-1.52
95 S 0.5063 0.8202 0.1607  4 O 1.47-1.51
96 S 0.5129 0.5255 0.1625  4 O 1.48-1.50
97 S 0.7960 0.5221 0.6634  4 O 1.47-1.51
98 S 0.8044 0.8209 0.6618  4 O 1.47-1.52
99 S 0.8139 0.4886 0.3291  4 O 1.47-1.53
100 S 0.8557 0.5099 0.9978  4 O 1.46-1.54
101 S 0.9480 0.3427 0.8299  4 O 1.45-1.53
102 S 0.9537 0.0110 0.4981  4 O 1.45-1.52
103 O 0.0263 0.9426 0.7770  1 S 1.48
104 O 0.0306 0.4207 0.8316  1 S 1.49
105 O 0.0318 0.7431 0.8864  1 Si 1.62
106 O 0.0376 0.0905 0.5015  1 S 1.52
107 O 0.0407 0.5971 0.4446  1 Si 1.71
108 O 0.0418 0.0726 0.2144  1 S 1.48
109 O 0.0423 0.2705 0.8224  1 S 1.48
110 O 0.0464 0.7566 0.1570  1 Si 1.65
111 O 0.0484 0.2651 0.1117  1 S 1.52
112 O 0.0483 0.9417 0.4883  1 S 1.45
113 O 0.0543 0.5882 0.1601  1 Si 1.65
114 O 0.0547 0.0755 0.8273  1 S 1.48
115 O 0.0593 0.7510 0.4943  1 Si 1.62
116 O 0.0601 0.2832 0.2164  1 S 1.47
117 O 0.0637 0.9510 0.8820  1 S 1.47
118 O 0.0653 0.4039 0.5520  1 Si 1.58
119 O 0.0658 0.0731 0.1088  1 S 1.50
120 O 0.0730 0.4026 0.1568  1 S 1.47
121 O 0.0753 0.6208 0.5590  1 Si 1.60
122 O 0.0756 0.5875 0.8428  1 Si 1.69
123 O 0.0795 0.4003 0.4362  1 Si 1.70
124 O 0.0824 0.7153 0.7723  1 Si 1.65
125 O 0.0900 0.2611 0.4994  1 Si 1.73
126 O 0.0925 0.9461 0.1610  1 S 1.49
127 O 0.2225 0.9465 0.6634  1 S 1.49
128 O 0.2283 0.5848 0.3413  1 Si 1.72
129 O 0.2294 0.7131 0.2722  1 Si 1.64
130 O 0.2304 0.4099 0.9463  1 Si 1.66
131 O 0.2324 0.2620 0.0000  1 Si 1.70
132 O 0.2411 0.0767 0.6135  1 S 1.50
133 O 0.2478 0.6194 0.0582  1 Si 1.60
134 O 0.2482 0.7459 0.9912  1 Si 1.61
135 O 0.2480 0.9488 0.3788  1 S 1.45
136 O 0.2556 0.0758 0.3272  1 S 1.49
137 O 0.2565 0.2719 0.3272  1 S 1.49
138 O 0.2557 0.2814 0.7133  1 S 1.46
139 O 0.2571 0.4209 0.3365  1 S 1.50
140 O 0.2569 0.9456 0.9853  1 S 1.46
141 O 0.2607 0.5891 0.6626  1 Si 1.65
142 O 0.2641 0.7587 0.6554  1 Si 1.65
143 O 0.2676 0.4048 0.6559  1 S 1.46
144 O 0.2728 0.0714 0.7184  1 S 1.48
145 O 0.2728 0.3996 0.0623  1 Si 1.60
146 O 0.2770 0.0916 0.9986  1 S 1.51
147 O 0.2792 0.5919 0.9427  1 Si 1.71
148 O 0.2801 0.2681 0.6085  1 S 1.51
149 O 0.2840 0.7381 0.3873  1 Si 1.61
150 O 0.2912 0.9455 0.2741  1 S 1.49
151 O 0.3189 0.1614 0.5061  1 Si 1.68
152 O 0.3281 0.4926 0.8332  1 Si 1.69
153 O 0.3315 0.1756 0.1082  1 Si 1.71
154 O 0.3392 0.1634 0.8256  1 Si 1.62
155 O 0.3387 0.8388 0.4953  1 Si 1.60
156 O 0.3476 0.5221 0.4464  1 S 1.52
157 O 0.3490 0.8280 0.1601  1 S 1.48
158 O 0.3565 0.5115 0.1596  1 S 1.49
159 O 0.3658 0.1662 0.2243  1 Si 1.62
160 O 0.3688 0.8389 0.8792  1 S 1.46
161 O 0.3716 0.4980 0.5512  1 S 1.46
162 O 0.3809 0.8632 0.7753  1 S 1.49
163 O 0.4374 0.3578 0.2782  1 S 1.49
164 O 0.4371 0.9980 0.0498  1 S 1.46
165 O 0.4405 0.3369 0.3831  1 S 1.47
166 O 0.4471 0.6706 0.7221  1 Si 1.61
167 O 0.4541 0.0145 0.6586  1 S 1.49
168 O 0.4612 0.0216 0.9451  1 S 1.53
169 O 0.4730 0.9974 0.3373  1 S 1.52
170 O 0.4756 0.3475 0.9951  1 Si 1.62
171 O 0.4761 0.6760 0.6065  1 Si 1.70
172 O 0.4771 0.3199 0.6654  1 S 1.53
173 O 0.4788 0.6626 0.3277  1 Si 1.64
174 O 0.4942 0.6528 0.0031  1 Si 1.68
175 O 0.5370 0.5880 0.4992  1 S 1.51
176 O 0.5395 0.0971 0.4425  1 Si 1.68
177 O 0.5406 0.2299 0.8930  1 Si 1.58
178 O 0.5406 0.4392 0.4857  1 S 1.46
179 O 0.5406 0.5714 0.2168  1 S 1.48
180 O 0.5460 0.2573 0.1567  1 Si 1.65
181 O 0.5457 0.8985 0.5626  1 Si 1.60
182 O 0.5482 0.7654 0.1103  1 S 1.51
183 O 0.5505 0.0883 0.1617  1 Si 1.65
184 O 0.5502 0.4259 0.7717  1 Si 1.71
185 O 0.5508 0.2522 0.4899  1 Si 1.63
186 O 0.5545 0.9254 0.8371  1 S 1.52
187 O 0.5572 0.7829 0.2152  1 S 1.47
188 O 0.5599 0.7771 0.8255  1 S 1.48
189 O 0.5623 0.5809 0.8239  1 Si 1.63
190 O 0.5671 0.5721 0.1110  1 S 1.50
191 O 0.5724 0.9023 0.1559  1 S 1.48
192 O 0.5747 0.1251 0.5566  1 Si 1.61
193 O 0.5815 0.4517 0.8876  1 Si 1.60
194 O 0.5826 0.9071 0.4464  1 Si 1.68
195 O 0.5844 0.2355 0.7769  1 Si 1.72
196 O 0.5885 0.4446 0.1637  1 S 1.50
197 O 0.5911 0.7626 0.5010  1 Si 1.73
198 O 0.5950 0.0909 0.8341  1 Si 1.72
199 O 0.7200 0.4403 0.6660  1 S 1.51
200 O 0.7287 0.0921 0.3419  1 Si 1.68
201 O 0.7335 0.5682 0.6130  1 S 1.50
202 O 0.7353 0.9085 0.9404  1 Si 1.70
203 O 0.7358 0.7628 0.9992  1 Si 1.69
204 O 0.7371 0.9282 0.3409  1 Si 1.69
205 O 0.7388 0.2175 0.2711  1 Si 1.64
206 O 0.7413 0.9040 0.6570  1 S 1.48
207 O 0.7441 0.7641 0.3293  1 Si 1.64
208 O 0.7462 0.4471 0.3785  1 S 1.47
209 O 0.7490 0.1179 0.0584  1 Si 1.60
210 O 0.7499 0.2477 0.9925  1 Si 1.60
211 O 0.7520 0.2587 0.6696  1 Si 1.69
212 O 0.7515 0.7834 0.7159  1 S 1.47
213 O 0.7547 0.0924 0.6616  1 Si 1.65
214 O 0.7551 0.4420 0.9920  1 S 1.46
215 O 0.7578 0.5729 0.3260  1 S 1.47
216 O 0.7645 0.7665 0.6108  1 S 1.52
217 O 0.7687 0.5895 0.0003  1 S 1.54
218 O 0.7715 0.5681 0.7176  1 S 1.47
219 O 0.7751 0.0930 0.9440  1 Si 1.73, 1 Hf 1.93
220 O 0.7746 0.9055 0.0577  1 Si 1.60
221 O 0.7875 0.2453 0.3853  1 Si 1.62
222 O 0.7938 0.4415 0.2745  1 S 1.48
223 O 0.8233 0.6611 0.5056  1 Si 1.66
224 O 0.8314 0.6735 0.8285  1 Si 1.64
225 O 0.8342 0.6749 0.1066  1 Si 1.70
226 O 0.8381 0.9942 0.8370  1 S 1.53
227 O 0.8411 0.3382 0.4951  1 Si 1.61
228 O 0.8485 0.3496 0.7774  1 S 1.53
229 O 0.8506 0.3273 0.1614  1 S 1.48
230 O 0.8525 0.0237 0.4478  1 S 1.51
231 O 0.8582 0.0115 0.1583  1 S 1.48
232 O 0.8642 0.3294 0.8818  1 S 1.45
233 O 0.8647 0.6607 0.2220  1 Si 1.62
234 O 0.8744 0.9988 0.5524  1 S 1.47
235 O 0.9355 0.5011 0.0526  1 S 1.47
236 O 0.9349 0.8683 0.2724  1 Si 1.65
237 O 0.9465 0.8360 0.3880  1 Si 1.61
238 O 0.9470 0.1610 0.7257  1 Si 1.61
239 O 0.9509 0.5112 0.6577  1 S 1.47
240 O 0.9524 0.5200 0.9468  1 S 1.49
241 O 0.9622 0.8284 0.6618  1 S 1.49
242 O 0.9706 0.1811 0.6095  1 Si 1.70
243 O 0.9749 0.4934 0.3378  1 S 1.53
244 O 0.9784 0.8510 0.9922  1 Si 1.63
245 O 0.9842 0.1662 0.3295  1 Si 1.65
246 O 0.9948 0.1519 0.0029  1 Si 1.68